No. 1
{"formula": "CoGe2", "functional": "PBE", "state": "relaxed", "final_energy_ry_per_atom": -0.41193, "lattice_angstrom": [[5.4655, -2.8375, 0.0000], [5.4655, 2.8375, 0.0000], [0.0000, 0.0000, 5.6768]], "species": ["Co", "Co", "Co", "Co", "Ge", "Ge", "Ge", "Ge", "Ge", "Ge", "Ge", "Ge"], "frac_coords": [[0.1168, 0.1168, 0.0000], [0.3832, 0.3832, 0.5000], [0.6168, 0.6168, 0.5000], [0.8832, 0.8832, 0.0000], [0.0010, 0.4990, 0.7500], [0.1589, 0.8411, 0.6588], [0.3411, 0.6589, 0.1588], [0.4990, 0.0010, 0.2500], [0.5010, 0.9990, 0.7500], [0.6589, 0.3411, 0.8412], [0.8411, 0.1589, 0.3412], [0.9990, 0.5010, 0.2500]]}

No. 2
{"formula": "Li4B7ClO12", "functional": "PBE", "state": "relaxed", "magmom_total_mub_per_cell": 0.00, "final_energy_ry_per_atom": -0.52943, "lattice_angstrom": [[4.3744, 2.5256, 7.0450], [-4.3744, 2.5256, 7.0450], [0.0000, -5.0512, 7.0450]], "species": ["Li", "Li", "Li", "Li", "Li", "Li", "Li", "Li", "B", "B", "B", "B", "B", "B", "B", "B", "B", "B", "B", "B", "B", "B", "Cl", "Cl", "O", "O", "O", "O", "O", "O", "O", "O", "O", "O", "O", "O", "O", "O", "O", "O", "O", "O", "O", "O", "O", "O", "O", "O"], "frac_coords": [[0.0000, 0.0000, 0.0000], [0.3609, 0.3608, 0.8863], [0.3608, 0.8863, 0.3609], [0.3863, 0.8608, 0.8609], [0.5000, 0.5000, 0.5000], [0.8609, 0.3863, 0.8608], [0.8608, 0.8609, 0.3863], [0.8863, 0.3609, 0.3608], [0.1158, 0.6168, 0.1204], [0.1168, 0.6158, 0.6204], [0.1204, 0.1158, 0.6168], [0.1720, 0.7680, 0.7648], [0.2648, 0.2680, 0.6720], [0.2682, 0.2682, 0.2682], [0.2680, 0.6720, 0.2648], [0.6158, 0.6204, 0.1168], [0.6168, 0.1204, 0.1158], [0.6204, 0.1168, 0.6158], [0.6720, 0.2648, 0.2680], [0.7648, 0.1720, 0.7680], [0.7680, 0.7648, 0.1720], [0.7682, 0.7682, 0.7682], [0.1113, 0.1113, 0.1113], [0.6113, 0.6113, 0.6113], [0.1105, 0.6780, 0.2558], [0.1119, 0.4288, 0.6720], [0.1160, 0.2553, 0.4309], [0.1637, 0.7640, 0.9313], [0.1720, 0.9288, 0.6119], [0.1780, 0.6105, 0.7558], [0.2553, 0.4309, 0.1160], [0.2558, 0.1105, 0.6780], [0.2640, 0.6637, 0.4313], [0.4288, 0.6720, 0.1119], [0.4309, 0.1160, 0.2553], [0.4313, 0.2640, 0.6637], [0.6105, 0.7558, 0.1780], [0.6119, 0.1720, 0.9288], [0.6160, 0.9309, 0.7553], [0.6637, 0.4313, 0.2640], [0.6720, 0.1119, 0.4288], [0.6780, 0.2558, 0.1105], [0.7553, 0.6160, 0.9309], [0.7558, 0.1780, 0.6105], [0.7640, 0.9313, 0.1637], [0.9288, 0.6119, 0.1720], [0.9313, 0.1637, 0.7640], [0.9309, 0.7553, 0.6160]]}